(1)
Computed, not measured: a relaxed MgZnCo4S8 crystal at the GGA-PBE level of DFT.

Properties
energy of formation	-0.733	eV per atom
space-group type	C2/m
excess energy over the best structure of this formula in the dataset	1.45	eV/f.u.
total DFT energy (no corrections)	-5.04	eV/atom

a = 6.742 Å, b = 6.742 Å, c = 7.085 Å
α = 119.34°, β = 119.34°, γ = 60.50°
Positions (direct):
Mg: 0.000 0.000 0.000
Zn: 0.500 0.500 0.000
Co: 0.000 0.000 0.500
Co: 0.000 0.500 0.500
Co: 0.500 0.000 0.500
Co: 0.500 0.500 0.500
S: 0.233 0.732 0.700
S: 0.244 0.244 0.704
S: 0.262 0.262 0.298
S: 0.268 0.767 0.300
S: 0.732 0.233 0.700
S: 0.738 0.738 0.702
S: 0.756 0.756 0.296
S: 0.767 0.268 0.300

---

(2)
Computed, not measured: a relaxed MgZnCo4S8 crystal at the GGA-PBE level of DFT.

Properties
energy of formation	-0.734	eV per atom
space-group type	Cm
excess energy over the best structure of this formula in the dataset	1.42	eV/f.u.
total DFT energy (no corrections)	-5.05	eV/atom

a = 6.763 Å, b = 6.763 Å, c = 7.233 Å
α = 117.75°, β = 117.75°, γ = 60.00°
Positions (direct):
Mg: 0.000 0.000 0.000
Zn: 0.641 0.641 0.927
Co: 0.149 0.637 0.427
Co: 0.151 0.151 0.456
Co: 0.637 0.149 0.427
Co: 0.637 0.637 0.427
S: 0.379 0.857 0.621
S: 0.380 0.380 0.621
S: 0.412 0.412 0.238
S: 0.420 0.903 0.229
S: 0.857 0.379 0.621
S: 0.869 0.869 0.613
S: 0.903 0.420 0.229
S: 0.903 0.903 0.229

---

(3)
Computed, not measured: a relaxed Sm4Mg3Co2 crystal at the GGA-PBE level of DFT.

Properties
energy of formation	-0.128	eV per atom
space-group type	P2/m
total DFT energy (no corrections)	-4.34	eV/atom

a = 7.572 Å, b = 3.801 Å, c = 8.266 Å
α = 90.00°, β = 109.83°, γ = 90.00°
Positions (direct):
Sm: 0.096 0.000 0.226
Sm: 0.398 0.000 0.681
Sm: 0.602 0.000 0.319
Sm: 0.904 0.000 0.774
Mg: 0.000 0.500 0.500
Mg: 0.292 0.500 0.002
Mg: 0.708 0.500 0.998
Co: 0.352 0.500 0.394
Co: 0.648 0.500 0.606

---

(4)
Computed, not measured: a relaxed Mg6CoSn crystal at the GGA-PBE level of DFT.

Properties
energy of formation	0.072	eV per atom
excess energy over the best structure of this formula in the dataset	0.10	eV/f.u.
total DFT energy (no corrections)	-2.52	eV/atom

a = 4.891 Å, b = 6.147 Å, c = 10.738 Å
α = 90.00°, β = 90.00°, γ = 90.00°
Positions (direct):
Mg: 0.500 0.248 0.417
Mg: 0.500 0.752 0.417
Mg: 0.000 0.766 0.086
Mg: 0.000 0.234 0.086
Mg: 0.000 0.000 0.324
Mg: 0.000 0.500 0.336
Mg: 0.500 0.748 0.917
Mg: 0.500 0.252 0.917
Mg: 0.000 0.266 0.586
Mg: 0.000 0.734 0.586
Mg: 0.000 0.500 0.824
Mg: 0.000 0.000 0.836
Co: 0.500 0.000 0.166
Co: 0.500 0.500 0.666
Sn: 0.500 0.500 0.168
Sn: 0.500 0.000 0.668

---

(5)
Computed, not measured: a relaxed Mg6CoSn crystal at the GGA-PBE level of DFT.

Properties
energy of formation	0.060	eV per atom
excess energy over the best structure of this formula in the dataset	0.00	eV/f.u.
total DFT energy (no corrections)	-2.53	eV/atom

a = 4.862 Å, b = 6.189 Å, c = 10.578 Å
α = 90.00°, β = 90.00°, γ = 90.00°
Positions (direct):
Mg: 0.000 0.246 0.083
Mg: 0.000 0.754 0.083
Mg: 0.000 0.500 0.834
Mg: 0.500 0.239 0.912
Mg: 0.500 0.761 0.912
Mg: 0.500 0.500 0.668
Mg: 0.000 0.746 0.583
Mg: 0.000 0.254 0.583
Mg: 0.000 0.000 0.334
Mg: 0.500 0.739 0.412
Mg: 0.500 0.261 0.412
Mg: 0.500 0.000 0.168
Co: 0.000 0.500 0.334
Co: 0.000 0.000 0.834
Sn: 0.500 0.500 0.174
Sn: 0.500 0.000 0.674

---

(6)
Computed, not measured: a relaxed Mg14CoSn crystal at the GGA-PBE level of DFT.

Properties
energy of formation	0.039	eV per atom
space-group type	Amm2
total DFT energy (no corrections)	-2.06	eV/atom

a = 10.126 Å, b = 6.274 Å, c = 6.274 Å
α = 60.07°, β = 90.00°, γ = 90.00°
Positions (direct):
Mg: 0.000 0.000 0.000
Mg: 0.000 0.003 0.498
Mg: 0.000 0.498 0.003
Mg: 0.000 0.499 0.499
Mg: 0.246 0.667 0.667
Mg: 0.260 0.161 0.161
Mg: 0.263 0.161 0.678
Mg: 0.263 0.678 0.161
Mg: 0.500 0.499 0.996
Mg: 0.500 0.996 0.499
Mg: 0.737 0.161 0.678
Mg: 0.737 0.678 0.161
Mg: 0.740 0.161 0.161
Mg: 0.754 0.667 0.667
Co: 0.500 0.002 0.002
Sn: 0.500 0.504 0.504

---

(7)
Computed, not measured: a relaxed Mg14CoSn crystal at the GGA-PBE level of DFT.

Properties
energy of formation	0.039	eV per atom
space-group type	P-6m2
total DFT energy (no corrections)	-2.06	eV/atom

a = 6.206 Å, b = 6.206 Å, c = 10.244 Å
α = 90.00°, β = 90.00°, γ = 120.00°
Positions (direct):
Mg: 0.000 0.000 0.250
Mg: 0.000 0.000 0.750
Mg: 0.010 0.505 0.238
Mg: 0.010 0.505 0.762
Mg: 0.330 0.165 0.000
Mg: 0.334 0.167 0.500
Mg: 0.495 0.505 0.238
Mg: 0.495 0.505 0.762
Mg: 0.495 0.990 0.238
Mg: 0.495 0.990 0.762
Mg: 0.833 0.167 0.500
Mg: 0.833 0.666 0.500
Mg: 0.835 0.165 0.000
Mg: 0.835 0.670 0.000
Co: 0.333 0.667 0.000
Sn: 0.333 0.667 0.500

---

(8)
Computed, not measured: a relaxed Tb4Mg3Co2 crystal at the GGA-PBE level of DFT.

Properties
energy of formation	-0.157	eV per atom
space-group type	P2/m
total DFT energy (no corrections)	-4.33	eV/atom

a = 7.474 Å, b = 3.746 Å, c = 8.176 Å
α = 90.00°, β = 109.77°, γ = 90.00°
Positions (direct):
Tb: 0.097 0.000 0.228
Tb: 0.398 0.000 0.679
Tb: 0.602 0.000 0.321
Tb: 0.903 0.000 0.772
Mg: 0.000 0.500 0.500
Mg: 0.292 0.500 0.002
Mg: 0.708 0.500 0.998
Co: 0.351 0.500 0.393
Co: 0.649 0.500 0.607